No. 1
Material: Cd3Pb
Method: DFT, GGA-PBE
State: relaxed

Values from the calculation:
density: 8.8 g/cm³
DFT total energy: -12.369 eV for the cell shown
calculated formation energy: 0.07 eV/atom

CIF file:
```
data_Cd3Pb
_chemical_formula_sum 'Cd6 Pb2'
_cell_length_a 6.6766
_cell_length_b 6.6766
_cell_length_c 5.3479
_cell_angle_alpha 90.00
_cell_angle_beta 90.00
_cell_angle_gamma 120.00
_space_group_name_H-M_alt 'P 63/m m c'
_space_group_IT_number 194
_space_group_name_Hall '-P 6c 2c'
loop_
_atom_site_label
_atom_site_type_symbol
_atom_site_fract_x
_atom_site_fract_y
_atom_site_fract_z
_atom_site_occupancy
Cd1 Cd 0.1606 0.3212 0.2500 1
Pb1 Pb 0.3333 0.6667 0.7500 1
```

---

No. 2
Material: Pm2CdPb
Method: DFT, GGA-PBE
State: relaxed

Values from the calculation:
density: 8.7 g/cm³
DFT total energy: -63.476 eV for the cell shown
calculated formation energy: -0.43 eV/atom

CIF file:
```
data_Pm2CdPb
_chemical_formula_sum 'Pm8 Cd4 Pb4'
_cell_length_a 7.745
_cell_length_b 7.745
_cell_length_c 7.745
_cell_angle_alpha 90.00
_cell_angle_beta 90.00
_cell_angle_gamma 90.00
_space_group_name_H-M_alt 'F m -3 m'
_space_group_IT_number 225
_space_group_name_Hall '-F 4 2 3'
loop_
_atom_site_label
_atom_site_type_symbol
_atom_site_fract_x
_atom_site_fract_y
_atom_site_fract_z
_atom_site_occupancy
Pm1 Pm 0.250 0.250 0.250 1
Cd1 Cd 0.000 0.000 0.000 1
Pb1 Pb 0.000 0.000 0.500 1
```